1.
The following is a DFT calculation (PBE) of crystalline Mg3P4H48N2O30 at its relaxed geometry.

Calculated values
VASP energy ... -5.31 eV per atom

Unit cell a=34.7075 b=7.0512 c=6.1896 alpha=90.00 beta=91.21 gamma=90.00
Closest atoms and distances in Å follow each position.
Space group C2/m (No. 12)
Unique sites:
Mg (0.0000, 0.0000, 0.0000)  6 O 2.09-2.10
Mg (0.1669, 0.5000, 0.7524)  6 O 2.08-2.16
P (0.0483, 0.5000, 0.3487)  1 H 1.41, 3 O 1.55
P (0.2045, 0.0000, 0.3750)  1 H 1.41, 3 O 1.55
H (0.0080, 0.5000, 0.3193)  1 P 1.41
H (0.0414, 0.2475, 0.7205)  1 O 0.99
H (0.0452, 0.1154, 0.3511)  1 O 1.00
H (0.0454, 0.3181, 0.9633)  1 O 1.00
H (0.0878, 0.0000, 0.0533)  1 N 1.04
H (0.1034, 0.2970, 0.5857)  1 O 1.00
H (0.1128, 0.5000, 0.0855)  1 O 1.00
H (0.1219, 0.1184, 0.9173)  1 N 1.04
H (0.1339, 0.0000, 0.1545)  1 N 1.06
H (0.1421, 0.1777, 0.5604)  1 O 1.01
H (0.1552, 0.5000, 0.1965)  1 O 0.99
H (0.2029, 0.3840, 0.3751)  1 O 1.01
H (0.2078, 0.2433, 0.9979)  1 O 1.00
H (0.2209, 0.0000, 0.5846)  1 P 1.41
H (0.2329, 0.3007, 0.7976)  1 O 1.00
N (0.1165, 0.0000, 0.0124)  4 H 1.04-1.06
O (0.0355, 0.2118, 0.8716)  2 H 0.99-1.00
O (0.0384, 0.0000, 0.2643)  2 H 1.00
O (0.0589, 0.3179, 0.4755)  1 P 1.55, 3 H 1.68-1.72
O (0.0647, 0.5000, 0.1186)  1 P 1.55, 3 H 1.69-1.73
O (0.1294, 0.2741, 0.6551)  2 H 1.00-1.01
O (0.1411, 0.5000, 0.0560)  2 H 0.99-1.00
O (0.1601, 0.0000, 0.4022)  1 P 1.55, 2 H 1.72
O (0.1893, 0.5000, 0.4302)  2 H 1.01
O (0.2057, 0.2886, 0.8453)  2 H 1.00
O (0.2185, 0.1825, 0.2625)  1 P 1.55, 2 H 1.68-1.73

2.
The following is a DFT calculation (PBE) of crystalline Na3RuN2 at its relaxed geometry.

Calculated values
VASP energy ... -4.75 eV per atom

Unit cell a=9.0161 b=9.0161 c=15.1389 alpha=90.00 beta=90.00 gamma=90.00
Closest atoms and distances in Å follow each position.
Space group I4_1/amd (No. 141, origin choice 2)
Unique sites:
Na (0.0000, 0.2500, 0.2507)  9 Na 3.73-3.97, 2 N 3.97
Na (0.2261, 0.0239, 0.8750)  4 N 2.77-2.94, 2 Ru 3.10
Ru (0.0000, 0.2500, 0.7997)  2 N 1.91
N (0.0000, 0.0657, 0.0127)  1 N 1.25

3.
The following is a DFT calculation (PBE) of crystalline CaC2O4 at its relaxed geometry.

Calculated values
VASP energy ... -7.61 eV per atom

Unit cell a=6.2367 b=7.4866 c=9.6681 alpha=90.00 beta=90.88 gamma=90.00
Closest atoms and distances in Å follow each position.
Space group P2/m (No. 10)
Unique sites:
Ca (0.0863, 0.0000, 0.3205)  7 O 2.35-2.49
Ca (0.0952, 0.5000, 0.1808)  7 O 2.36-2.50
C (0.0000, 0.1046, 0.0000)  2 O 1.27
C (0.0000, 0.3955, 0.5000)  2 O 1.27
C (0.4311, 0.5000, 0.9316)  2 O 1.26-1.28
C (0.4353, 0.0000, 0.5687)  2 O 1.26-1.28
O (0.0482, 0.1804, 0.1135)  1 C 1.27
O (0.0484, 0.3198, 0.3875)  1 C 1.27
O (0.2286, 0.5000, 0.9479)  1 C 1.28
O (0.2318, 0.0000, 0.5533)  1 C 1.28
O (0.4626, 0.0000, 0.3183)  1 C 1.26
O (0.4733, 0.5000, 0.1819)  1 C 1.26

4.
The following is a DFT calculation (PBE) of crystalline Li13Ti28O56 at its relaxed geometry.

Calculated values
VASP energy ... -8.25 eV per atom

Unit cell a=15.8263 b=15.8263 c=14.6786 alpha=90.00 beta=90.00 gamma=120.00
Closest atoms and distances in Å follow each position.
Space group R3 (No. 146, hexagonal axes)
Unique sites:
Li (0.0000, 0.0000, 0.0000)  4 O 2.01-2.03
Li (0.0476, 0.2382, 0.6659)  4 O 2.02
Li (0.0476, 0.2382, 0.9161)  4 O 2.01-2.02
Li (0.1429, 0.7143, 0.2493)  4 O 2.01-2.02
Li (0.1433, 0.7142, 0.9991)  4 O 2.01-2.03
Ti (0.0000, 0.0000, 0.6240)  6 O 2.01-2.02
Ti (0.0001, 0.4997, 0.1244)  6 O 2.01-2.02
Ti (0.0236, 0.1179, 0.4566)  6 O 1.97-2.04
Ti (0.0236, 0.6189, 0.4573)  6 O 2.01-2.02
Ti (0.0474, 0.2366, 0.2902)  6 O 1.96-2.04
Ti (0.0712, 0.3572, 0.1244)  6 O 2.01-2.02
Ti (0.0715, 0.8585, 0.1252)  6 O 1.97-2.04
Ti (0.1191, 0.0953, 0.7911)  6 O 2.01-2.02
Ti (0.1425, 0.7143, 0.6246)  6 O 2.01-2.02
Ti (0.1910, 0.4538, 0.7918)  6 O 1.97-2.04
O (0.0000, 0.0000, 0.3903)  3 Ti 1.97
O (0.0000, 0.0000, 0.8619)  3 Ti 2.02, 1 Li 2.03
O (0.0092, 0.4974, 0.8702)  1 Li 2.01, 3 Ti 2.02
O (0.0118, 0.6094, 0.2035)  3 Ti 2.01-2.02, 1 Li 2.02
O (0.0214, 0.1070, 0.7118)  3 Ti 2.02, 1 Li 2.02
O (0.0269, 0.1343, 0.2025)  3 Ti 1.96-1.97
O (0.0358, 0.6288, 0.7117)  3 Ti 2.01-2.04, 1 Li 2.03
O (0.0477, 0.2383, 0.0532)  1 Li 2.01, 3 Ti 2.02
O (0.0477, 0.2382, 0.5284)  3 Ti 2.01-2.04, 1 Li 2.02
O (0.0594, 0.8475, 0.8702)  3 Ti 2.01-2.02, 1 Li 2.02
O (0.0691, 0.3451, 0.3785)  3 Ti 2.01-2.04, 1 Li 2.02
O (0.0735, 0.3687, 0.8702)  1 Li 2.01, 3 Ti 2.01-2.02
O (0.0835, 0.8666, 0.3785)  3 Ti 2.01-2.02, 1 Li 2.01
O (0.1073, 0.0859, 0.5373)  1 Li 2.01, 3 Ti 2.01-2.02
O (0.1312, 0.1049, 0.0449)  3 Ti 2.01-2.02, 1 Li 2.01
O (0.1429, 0.7143, 0.3868)  3 Ti 2.02, 1 Li 2.02
O (0.1427, 0.7143, 0.8617)  3 Ti 2.01-2.02, 1 Li 2.02
O (0.1642, 0.8213, 0.7117)  3 Ti 2.01-2.04, 1 Li 2.02
O (0.1806, 0.4546, 0.0451)  3 Ti 2.01-2.02, 1 Li 2.01
O (0.2001, 0.4500, 0.5369)  3 Ti 2.01-2.02, 1 Li 2.02

> The lowest VASP energy belongs to which entry?

Li13Ti28O56

> Which value of VASP energy does entry 2 give?

-4.75 eV per atom

> Which formula does entry 1 have?

Mg3P4H48N2O30

> Which of these has the highest VASP energy?

Na3RuN2